(1)
Entry from the Materials Project database: K3Bi after structural relaxation (PBE).

Results
* space-group type: Fm-3m (225)
* ΔH_f (0 K): -7.907 kcal/mol of atoms
* density: 3.263 Mg/m³
* offset from the most stable computed form: 22.2 meV/atom

a = 8.725 Å, b = 8.725 Å, c = 8.725 Å
α = 90.00°, β = 90.00°, γ = 90.00°
Fractional positions:
K: 0.000 0.000 0.000
K: 0.000 0.500 0.500
K: 0.250 0.250 0.250
K: 0.250 0.250 0.750
K: 0.250 0.750 0.250
K: 0.250 0.750 0.750
K: 0.500 0.000 0.500
K: 0.500 0.500 0.000
K: 0.750 0.250 0.250
K: 0.750 0.250 0.750
K: 0.750 0.750 0.250
K: 0.750 0.750 0.750
Bi: 0.000 0.000 0.500
Bi: 0.000 0.500 0.000
Bi: 0.500 0.000 0.000
Bi: 0.500 0.500 0.500

(2)
Entry from the Materials Project database: KLaTbBiO6 after structural relaxation (PBE).

Results
* space-group type: Pnnn (48)
* total moment: 0.0 μB/cell
* ΔH_f (0 K): -61.887 kcal/mol of atoms
* density: 6.795 Mg/m³
* offset from the most stable computed form: 0.0 meV/atom

a = 8.485 Å, b = 8.598 Å, c = 8.601 Å
α = 90.00°, β = 90.00°, γ = 90.00°
Fractional positions:
K: 0.250 0.250 0.250
K: 0.250 0.750 0.750
K: 0.750 0.250 0.250
K: 0.750 0.750 0.750
La: 0.250 0.250 0.750
La: 0.250 0.750 0.250
La: 0.750 0.250 0.750
La: 0.750 0.750 0.250
Tb: 0.000 0.000 0.000
Tb: 0.000 0.500 0.500
Tb: 0.500 0.000 0.500
Tb: 0.500 0.500 0.000
Bi: 0.000 0.000 0.500
Bi: 0.000 0.500 0.000
Bi: 0.500 0.000 0.000
Bi: 0.500 0.500 0.500
O: 0.032 0.244 0.561
O: 0.032 0.256 0.939
O: 0.043 0.011 0.257
O: 0.043 0.489 0.243
O: 0.243 0.540 0.975
O: 0.243 0.960 0.525
O: 0.257 0.540 0.525
O: 0.257 0.960 0.975
O: 0.457 0.011 0.243
O: 0.457 0.489 0.257
O: 0.468 0.244 0.939
O: 0.468 0.256 0.561
O: 0.532 0.744 0.439
O: 0.532 0.756 0.061
O: 0.543 0.511 0.743
O: 0.543 0.989 0.757
O: 0.743 0.040 0.025
O: 0.743 0.460 0.475
O: 0.757 0.040 0.475
O: 0.757 0.460 0.025
O: 0.957 0.511 0.757
O: 0.957 0.989 0.743
O: 0.968 0.744 0.061
O: 0.968 0.756 0.439

(3)
Entry from the Materials Project database: KLaTbBiO6 after structural relaxation (PBE).

Results
* space-group type: F-43m (216)
* total moment: 0.0 μB/cell
* ΔH_f (0 K): -59.290 kcal/mol of atoms
* density: 6.694 Mg/m³
* offset from the most stable computed form: 112.6 meV/atom

a = 6.084 Å, b = 6.084 Å, c = 6.084 Å
α = 60.00°, β = 60.00°, γ = 60.00°
Fractional positions:
K: 0.000 0.000 0.000
La: 0.500 0.500 0.500
Tb: 0.750 0.750 0.750
Bi: 0.250 0.250 0.250
O: 0.006 0.006 0.494
O: 0.006 0.494 0.006
O: 0.006 0.494 0.494
O: 0.494 0.006 0.006
O: 0.494 0.006 0.494
O: 0.494 0.494 0.006